# 1
Density functional theory data (PBE with a Hubbard U) for a relaxed MgFe2O4 crystal. Values from VASP.

## Properties
The corrected total energy (MP2020 scheme) comes out at -7.53 eV per atom. The space-group type is P1. The value obtained for the theoretical density is 4.29 g cm⁻³. The calculation puts the formation energy at -2059 meV per atom.

Geometry as Quantum ESPRESSO input:
```
&SYSTEM
  ibrav = 0, nat = 98, ntyp = 3
/
ATOMIC_SPECIES
O 16.00 O.upf
Fe 55.84 Fe.upf
Mg 24.30 Mg.upf
ATOMIC_POSITIONS crystal
O 0.740 0.740 0.467
O 0.263 0.733 0.464
O 0.261 0.261 0.892
O 0.267 0.266 0.959
O 0.269 0.740 0.677
O 0.263 0.734 0.607
O 0.739 0.268 0.534
O 0.732 0.268 0.321
O 0.738 0.744 0.182
O 0.739 0.735 0.966
O 0.741 0.742 0.392
O 0.261 0.261 0.532
O 0.268 0.738 0.821
O 0.727 0.251 0.039
O 0.738 0.267 0.821
O 0.264 0.734 0.966
O 0.262 0.252 0.248
O 0.265 0.719 0.038
O 0.733 0.262 0.750
O 0.262 0.262 0.750
O 0.740 0.740 0.752
O 0.264 0.733 0.321
O 0.733 0.263 0.464
O 0.725 0.256 0.181
O 0.262 0.262 0.389
O 0.263 0.263 0.607
O 0.262 0.262 0.464
O 0.738 0.738 0.822
O 0.261 0.735 0.893
O 0.267 0.254 0.180
O 0.262 0.734 0.750
O 0.263 0.263 0.818
O 0.736 0.737 0.897
O 0.268 0.714 0.181
O 0.740 0.740 0.535
O 0.738 0.265 0.965
O 0.740 0.740 0.678
O 0.733 0.744 0.041
O 0.742 0.741 0.609
O 0.269 0.739 0.534
O 0.268 0.745 0.249
O 0.740 0.269 0.392
O 0.261 0.743 0.108
O 0.269 0.741 0.392
O 0.735 0.273 0.250
O 0.733 0.743 0.108
O 0.733 0.272 0.108
O 0.262 0.262 0.675
O 0.267 0.250 0.038
O 0.262 0.266 0.321
O 0.734 0.263 0.607
O 0.740 0.743 0.324
O 0.735 0.261 0.893
O 0.740 0.269 0.677
O 0.736 0.746 0.249
O 0.267 0.254 0.104
Fe 0.496 0.496 0.071
Fe 0.130 0.129 0.304
Fe 0.496 0.006 0.071
Fe 0.496 0.501 0.143
Fe 0.133 0.133 0.445
Fe 0.499 0.499 0.500
Fe 0.499 0.499 0.786
Fe 0.500 0.501 0.428
Fe 0.495 0.495 0.929
Fe 0.867 0.867 0.412
Fe 0.133 0.133 0.588
Fe 0.132 0.133 0.731
Fe 0.866 0.866 0.841
Fe 0.500 0.501 0.213
Fe 0.864 0.878 0.268
Fe 0.500 0.007 0.213
Fe 0.867 0.867 0.554
Fe 0.499 0.498 0.858
Fe 0.866 0.881 0.125
Fe 0.500 0.500 0.571
Fe 0.132 0.132 0.874
Fe 0.868 0.868 0.697
Fe 0.497 0.496 0.001
Fe 0.500 0.500 0.357
Fe 0.500 0.500 0.714
Fe 0.499 0.502 0.286
Fe 0.867 0.869 0.984
Fe 0.500 0.500 0.643
Mg 0.501 0.002 0.357
Mg 0.500 0.999 0.786
Mg 0.000 0.501 0.357
Mg 0.501 0.000 0.643
Mg 0.498 0.998 0.929
Mg 0.135 0.119 0.161
Mg 0.499 0.000 0.500
Mg 0.000 0.499 0.929
Mg 0.004 0.498 0.072
Mg 0.003 0.499 0.214
Mg 0.999 0.500 0.786
Mg 0.140 0.125 0.016
Mg 0.000 0.499 0.500
Mg 0.000 0.501 0.643
CELL_PARAMETERS angstrom
-4.174 -4.344 -0.017
1.261 -5.397 -2.368
4.350 -33.685 25.162
```

=====

# 2
Density functional theory data (PBE with a Hubbard U) for a relaxed MgFe2O4 crystal. Values from VASP.

## Properties
The corrected total energy (MP2020 scheme) comes out at -7.46 eV per atom. The space-group type is Pmmn. The value obtained for the theoretical density is 4.25 g cm⁻³. The calculation puts the formation energy at -1979 meV per atom.

Geometry as Quantum ESPRESSO input:
```
&SYSTEM
  ibrav = 0, nat = 28, ntyp = 3
/
ATOMIC_SPECIES
Fe 55.84 Fe.upf
Mg 24.30 Mg.upf
O 16.00 O.upf
ATOMIC_POSITIONS crystal
Fe 0.491 0.000 0.270
Fe 0.491 0.000 0.730
Fe 0.000 0.750 0.750
Fe 0.000 0.250 0.250
Fe 0.509 0.500 0.770
Fe 0.000 0.750 0.250
Fe 0.000 0.250 0.750
Fe 0.509 0.500 0.230
Mg 0.853 0.000 0.500
Mg 0.147 0.500 0.000
Mg 0.484 0.500 0.500
Mg 0.516 0.000 0.000
O 0.332 0.754 0.865
O 0.332 0.754 0.135
O 0.332 0.246 0.135
O 0.668 0.746 0.365
O 0.855 0.500 0.859
O 0.668 0.746 0.635
O 0.802 0.000 0.849
O 0.145 0.000 0.641
O 0.855 0.500 0.141
O 0.668 0.254 0.365
O 0.145 0.000 0.359
O 0.198 0.500 0.651
O 0.198 0.500 0.349
O 0.668 0.254 0.635
O 0.802 0.000 0.151
O 0.332 0.246 0.865
CELL_PARAMETERS angstrom
5.130 0.000 0.000
0.000 5.896 0.000
0.000 0.000 10.329
```

=====

# 3
Density functional theory data (PBE with a Hubbard U) for a relaxed MgFe2O4 crystal. Values from VASP.

## Properties
The corrected total energy (MP2020 scheme) comes out at -7.46 eV per atom. The space-group type is P1. The value obtained for the theoretical density is 4.59 g cm⁻³. The calculation puts the formation energy at -1989 meV per atom.

Geometry as Quantum ESPRESSO input:
```
&SYSTEM
  ibrav = 0, nat = 70, ntyp = 3
/
ATOMIC_SPECIES
Mg 24.30 Mg.upf
Fe 55.84 Fe.upf
O 16.00 O.upf
ATOMIC_POSITIONS crystal
Mg 0.008 0.499 0.099
Mg 0.503 0.499 0.800
Mg 0.133 0.119 0.426
Mg 0.499 0.501 0.600
Mg 0.002 0.501 0.899
Mg 0.998 0.500 0.500
Mg 0.145 0.118 0.024
Mg 0.138 0.125 0.222
Mg 0.000 0.500 0.700
Mg 0.002 0.496 0.301
Fe 0.494 0.499 0.201
Fe 0.509 0.003 0.098
Fe 0.132 0.118 0.827
Fe 0.131 0.114 0.628
Fe 0.494 0.997 0.900
Fe 0.497 0.000 0.301
Fe 0.868 0.884 0.773
Fe 0.495 0.007 0.501
Fe 0.502 0.499 0.000
Fe 0.495 0.496 0.402
Fe 0.494 0.509 0.900
Fe 0.495 0.496 0.501
Fe 0.509 0.499 0.098
Fe 0.500 0.000 0.700
Fe 0.500 0.499 0.700
Fe 0.863 0.883 0.574
Fe 0.866 0.881 0.174
Fe 0.856 0.888 0.974
Fe 0.497 0.499 0.301
Fe 0.858 0.874 0.379
O 0.281 0.252 0.452
O 0.730 0.765 0.546
O 0.735 0.748 0.054
O 0.727 0.274 0.353
O 0.730 0.277 0.545
O 0.270 0.239 0.654
O 0.723 0.248 0.856
O 0.269 0.724 0.853
O 0.269 0.240 0.853
O 0.290 0.709 0.050
O 0.280 0.706 0.452
O 0.270 0.721 0.654
O 0.735 0.258 0.249
O 0.734 0.761 0.145
O 0.265 0.250 0.253
O 0.289 0.256 0.140
O 0.260 0.760 0.944
O 0.730 0.761 0.746
O 0.277 0.749 0.745
O 0.717 0.289 0.949
O 0.276 0.758 0.142
O 0.711 0.261 0.453
O 0.274 0.251 0.745
O 0.271 0.254 0.345
O 0.727 0.732 0.353
O 0.266 0.721 0.253
O 0.274 0.752 0.544
O 0.724 0.749 0.656
O 0.258 0.727 0.358
O 0.715 0.748 0.458
O 0.734 0.280 0.145
O 0.266 0.252 0.546
O 0.717 0.751 0.949
O 0.731 0.278 0.746
O 0.290 0.252 0.050
O 0.737 0.742 0.255
O 0.280 0.256 0.942
O 0.726 0.748 0.855
O 0.723 0.252 0.655
O 0.734 0.246 0.055
CELL_PARAMETERS angstrom
0.897 4.930 3.161
-2.561 0.571 5.193
16.371 -1.009 24.473
```

=====

# 4
Density functional theory data (PBE with a Hubbard U) for a relaxed MgFe2O4 crystal. Values from VASP.

## Properties
The corrected total energy (MP2020 scheme) comes out at -7.54 eV per atom. The space-group type is Cm. The value obtained for the theoretical density is 4.27 g cm⁻³. The calculation puts the formation energy at -2064 meV per atom.

Geometry as Quantum ESPRESSO input:
```
&SYSTEM
  ibrav = 0, nat = 56, ntyp = 3
/
ATOMIC_SPECIES
O 16.00 O.upf
Fe 55.84 Fe.upf
Mg 24.30 Mg.upf
ATOMIC_POSITIONS crystal
O 0.319 0.793 0.063
O 0.968 0.430 0.686
O 0.680 0.215 0.936
O 0.452 0.936 0.185
O 0.437 0.437 0.182
O 0.187 0.187 0.933
O 0.430 0.968 0.686
O 0.705 0.185 0.435
O 0.180 0.180 0.434
O 0.677 0.677 0.935
O 0.046 0.565 0.315
O 0.936 0.452 0.185
O 0.314 0.314 0.566
O 0.814 0.814 0.071
O 0.819 0.819 0.566
O 0.185 0.705 0.435
O 0.321 0.321 0.064
O 0.564 0.564 0.820
O 0.543 0.068 0.814
O 0.297 0.814 0.565
O 0.570 0.570 0.315
O 0.215 0.680 0.936
O 0.068 0.543 0.814
O 0.687 0.687 0.432
O 0.070 0.070 0.814
O 0.814 0.297 0.565
O 0.793 0.319 0.063
O 0.063 0.063 0.318
O 0.931 0.931 0.185
O 0.426 0.426 0.685
O 0.937 0.937 0.683
O 0.565 0.046 0.315
Fe 0.402 0.402 0.283
Fe 0.375 0.875 0.375
Fe 0.866 0.378 0.875
Fe 0.500 0.500 0.997
Fe 0.120 0.627 0.126
Fe 0.378 0.866 0.875
Fe 0.126 0.622 0.625
Fe 0.250 0.250 0.747
Fe 0.875 0.375 0.375
Fe 0.627 0.120 0.126
Fe 0.348 0.348 0.467
Fe 0.622 0.126 0.625
Fe 0.098 0.098 0.218
Fe 0.652 0.652 0.533
Fe 0.902 0.902 0.781
Fe 0.153 0.153 0.030
Mg 0.846 0.846 0.970
Mg 0.750 0.750 0.250
Mg 0.875 0.875 0.375
Mg 0.126 0.126 0.625
Mg 0.376 0.376 0.875
Mg 0.625 0.625 0.126
Mg 0.000 0.000 0.500
Mg 0.597 0.597 0.718
CELL_PARAMETERS angstrom
-2.452 -5.298 -1.541
2.191 -3.083 -4.707
12.504 -12.130 9.852
```

=====

What did the fourth record say?
Density functional theory data (PBE with a Hubbard U) for a relaxed MgFe2O4 crystal. Values from VASP.

## Properties
The corrected total energy (MP2020 scheme) comes out at -7.54 eV per atom. The space-group type is Cm. The value obtained for the theoretical density is 4.27 g cm⁻³. The calculation puts the formation energy at -2064 meV per atom.

Geometry as Quantum ESPRESSO input:
```
&SYSTEM
  ibrav = 0, nat = 56, ntyp = 3
/
ATOMIC_SPECIES
O 16.00 O.upf
Fe 55.84 Fe.upf
Mg 24.30 Mg.upf
ATOMIC_POSITIONS crystal
O 0.319 0.793 0.063
O 0.968 0.430 0.686
O 0.680 0.215 0.936
O 0.452 0.936 0.185
O 0.437 0.437 0.182
O 0.187 0.187 0.933
O 0.430 0.968 0.686
O 0.705 0.185 0.435
O 0.180 0.180 0.434
O 0.677 0.677 0.935
O 0.046 0.565 0.315
O 0.936 0.452 0.185
O 0.314 0.314 0.566
O 0.814 0.814 0.071
O 0.819 0.819 0.566
O 0.185 0.705 0.435
O 0.321 0.321 0.064
O 0.564 0.564 0.820
O 0.543 0.068 0.814
O 0.297 0.814 0.565
O 0.570 0.570 0.315
O 0.215 0.680 0.936
O 0.068 0.543 0.814
O 0.687 0.687 0.432
O 0.070 0.070 0.814
O 0.814 0.297 0.565
O 0.793 0.319 0.063
O 0.063 0.063 0.318
O 0.931 0.931 0.185
O 0.426 0.426 0.685
O 0.937 0.937 0.683
O 0.565 0.046 0.315
Fe 0.402 0.402 0.283
Fe 0.375 0.875 0.375
Fe 0.866 0.378 0.875
Fe 0.500 0.500 0.997
Fe 0.120 0.627 0.126
Fe 0.378 0.866 0.875
Fe 0.126 0.622 0.625
Fe 0.250 0.250 0.747
Fe 0.875 0.375 0.375
Fe 0.627 0.120 0.126
Fe 0.348 0.348 0.467
Fe 0.622 0.126 0.625
Fe 0.098 0.098 0.218
Fe 0.652 0.652 0.533
Fe 0.902 0.902 0.781
Fe 0.153 0.153 0.030
Mg 0.846 0.846 0.970
Mg 0.750 0.750 0.250
Mg 0.875 0.875 0.375
Mg 0.126 0.126 0.625
Mg 0.376 0.376 0.875
Mg 0.625 0.625 0.126
Mg 0.000 0.000 0.500
Mg 0.597 0.597 0.718
CELL_PARAMETERS angstrom
-2.452 -5.298 -1.541
2.191 -3.083 -4.707
12.504 -12.130 9.852
```